Record 1
# Li3Cu5O4 (PBE-GGA, relaxed)
# total magnetic moment: 0.001 μB/f.u.
# DFT total energy: -57.08 eV per formula unit
# crystal system: monoclinic
# SG: No. 14
data_Li3Cu5O4
_cell_length_a 6.642
_cell_length_b 7.653
_cell_length_c 12.713
_cell_angle_alpha 72.43
_cell_angle_beta 90.00
_cell_angle_gamma 90.00
_symmetry_space_group_name_H-M 'P 1'
_symmetry_Int_Tables_number 1
loop_
_symmetry_equiv_pos_as_xyz
'x,y,z'
loop_
_atom_site_label
_atom_site_type_symbol
_atom_site_fract_x
_atom_site_fract_y
_atom_site_fract_z
O1 O 0.343 0.976 0.594
O2 O 0.809 0.120 0.602
O3 O 0.904 0.458 0.381
O4 O 0.657 0.024 0.406
O5 O 0.046 0.380 0.923
O6 O 0.596 0.458 0.881
O7 O 0.191 0.880 0.398
O8 O 0.309 0.880 0.898
O9 O 0.404 0.542 0.119
O10 O 0.843 0.024 0.906
O11 O 0.454 0.380 0.423
O12 O 0.691 0.120 0.102
O13 O 0.157 0.976 0.094
O14 O 0.954 0.620 0.077
O15 O 0.546 0.620 0.577
O16 O 0.096 0.542 0.619
Cu1 Cu 0.072 0.035 0.588
Cu2 Cu 0.671 0.060 0.257
Cu3 Cu 0.674 0.627 0.087
Cu4 Cu 0.928 0.965 0.412
Cu5 Cu 0.029 0.673 0.393
Cu6 Cu 0.471 0.673 0.893
Cu7 Cu 0.826 0.627 0.587
Cu8 Cu 0.529 0.327 0.107
Cu9 Cu 0.329 0.940 0.743
Cu10 Cu 0.971 0.327 0.607
Cu11 Cu 0.171 0.940 0.243
Cu12 Cu 0.059 0.459 0.770
Cu13 Cu 0.829 0.060 0.757
Cu14 Cu 0.572 0.965 0.912
Cu15 Cu 0.441 0.459 0.270
Cu16 Cu 0.559 0.541 0.730
Cu17 Cu 0.941 0.541 0.230
Cu18 Cu 0.326 0.373 0.913
Cu19 Cu 0.428 0.035 0.088
Cu20 Cu 0.174 0.373 0.413
Li1 Li 0.624 0.933 0.572
Li2 Li 0.781 0.259 0.936
Li3 Li 0.060 0.363 0.078
Li4 Li 0.219 0.741 0.064
Li5 Li 0.440 0.363 0.578
Li6 Li 0.281 0.741 0.564
Li7 Li 0.376 0.067 0.428
Li8 Li 0.940 0.637 0.922
Li9 Li 0.560 0.637 0.422
Li10 Li 0.719 0.259 0.436
Li11 Li 0.124 0.067 0.928
Li12 Li 0.876 0.933 0.072

Record 2
# Rb2Pd3Se4 (PBE-GGA, relaxed)
# DFT total energy: -37.97 eV per formula unit
# crystal system: orthorhombic
# SG: No. 70
data_Rb2Pd3Se4
_cell_length_a 15.180
_cell_length_b 14.447
_cell_length_c 6.538
_cell_angle_alpha 83.61
_cell_angle_beta 71.04
_cell_angle_gamma 25.34
_symmetry_space_group_name_H-M 'P 1'
_symmetry_Int_Tables_number 1
loop_
_symmetry_equiv_pos_as_xyz
'x,y,z'
loop_
_atom_site_label
_atom_site_type_symbol
_atom_site_fract_x
_atom_site_fract_y
_atom_site_fract_z
Se1 Se 0.780 0.104 0.888
Se2 Se 0.146 0.470 0.022
Se3 Se 0.362 0.022 0.470
Se4 Se 0.104 0.780 0.228
Se5 Se 0.022 0.362 0.146
Se6 Se 0.888 0.228 0.780
Se7 Se 0.470 0.146 0.362
Se8 Se 0.228 0.888 0.104
Pd1 Pd 0.000 0.000 0.000
Pd2 Pd 0.751 0.751 0.249
Pd3 Pd 0.250 0.250 0.250
Pd4 Pd 0.001 0.001 0.499
Pd5 Pd 0.249 0.249 0.751
Pd6 Pd 0.499 0.499 0.001
Rb1 Rb 0.426 0.426 0.574
Rb2 Rb 0.676 0.676 0.824
Rb3 Rb 0.574 0.574 0.426
Rb4 Rb 0.824 0.824 0.676

Record 3
# Li7Sb2P7O24 (PBE-GGA, relaxed)
# total magnetic moment: 0.000 μB/f.u.
# DFT total energy: -263.29 eV per formula unit
# crystal system: monoclinic
# SG: No. 13
data_Li7Sb2P7O24
_cell_length_a 5.272
_cell_length_b 12.072
_cell_length_c 15.862
_cell_angle_alpha 83.76
_cell_angle_beta 90.00
_cell_angle_gamma 90.00
_symmetry_space_group_name_H-M 'P 1'
_symmetry_Int_Tables_number 1
loop_
_symmetry_equiv_pos_as_xyz
'x,y,z'
loop_
_atom_site_label
_atom_site_type_symbol
_atom_site_fract_x
_atom_site_fract_y
_atom_site_fract_z
Sb1 Sb 0.652 0.693 0.725
Sb2 Sb 0.652 0.807 0.275
Sb3 Sb 0.348 0.307 0.275
Sb4 Sb 0.348 0.193 0.725
O1 O 0.591 0.636 0.239
O2 O 0.254 0.001 0.795
O3 O 0.699 0.147 0.793
O4 O 0.420 0.139 0.015
O5 O 0.873 0.716 0.845
O6 O 0.450 0.777 0.591
O7 O 0.301 0.853 0.207
O8 O 0.487 0.030 0.653
O9 O 0.250 0.752 0.922
O10 O 0.100 0.953 0.075
O11 O 0.746 0.999 0.205
O12 O 0.580 0.861 0.985
O13 O 0.158 0.874 0.686
O14 O 0.842 0.126 0.314
O15 O 0.100 0.547 0.925
O16 O 0.301 0.647 0.793
O17 O 0.580 0.639 0.015
O18 O 0.250 0.748 0.078
O19 O 0.999 0.204 0.624
O20 O 0.254 0.499 0.205
O21 O 0.842 0.374 0.686
O22 O 0.591 0.864 0.761
O23 O 0.450 0.723 0.409
O24 O 0.001 0.796 0.376
O25 O 0.053 0.886 0.530
O26 O 0.550 0.223 0.409
O27 O 0.127 0.284 0.155
O28 O 0.001 0.704 0.624
O29 O 0.947 0.114 0.470
O30 O 0.750 0.252 0.922
O31 O 0.900 0.047 0.925
O32 O 0.999 0.296 0.376
O33 O 0.513 0.530 0.653
O34 O 0.750 0.248 0.078
O35 O 0.900 0.453 0.075
O36 O 0.487 0.470 0.347
O37 O 0.746 0.501 0.795
O38 O 0.409 0.364 0.761
O39 O 0.127 0.216 0.845
O40 O 0.420 0.361 0.985
O41 O 0.158 0.626 0.314
O42 O 0.699 0.353 0.207
O43 O 0.873 0.784 0.155
O44 O 0.409 0.136 0.239
O45 O 0.550 0.277 0.591
O46 O 0.947 0.386 0.530
O47 O 0.513 0.970 0.347
O48 O 0.053 0.614 0.470
P1 P 0.617 0.054 0.276
P2 P 0.383 0.946 0.724
P3 P 0.832 0.307 0.601
P4 P 0.557 0.250 0.000
P5 P 0.127 0.844 0.131
P6 P 0.832 0.193 0.399
P7 P 0.168 0.693 0.399
P8 P 0.127 0.656 0.869
P9 P 0.873 0.156 0.869
P10 P 0.873 0.344 0.131
P11 P 0.617 0.446 0.724
P12 P 0.383 0.554 0.276
P13 P 0.168 0.807 0.601
P14 P 0.443 0.750 0.000
Li1 Li 0.812 0.611 0.136
Li2 Li 0.156 0.555 0.582
Li3 Li 0.735 0.520 0.946
Li4 Li 0.735 0.980 0.054
Li5 Li 0.844 0.055 0.582
Li6 Li 0.844 0.445 0.418
Li7 Li 0.293 0.250 0.500
Li8 Li 0.265 0.020 0.946
Li9 Li 0.707 0.750 0.500
Li10 Li 0.156 0.945 0.418
Li11 Li 0.188 0.111 0.136
Li12 Li 0.812 0.889 0.864
Li13 Li 0.188 0.389 0.864
Li14 Li 0.265 0.480 0.054

Record 4
# Zr3Cu4Ge2 (PBE-GGA, relaxed)
# DFT total energy: -55.65 eV per formula unit
# crystal system: hexagonal
# SG: No. 189
data_Zr3Cu4Ge2
_cell_length_a 4.029
_cell_length_b 6.450
_cell_length_c 6.450
_cell_angle_alpha 120.00
_cell_angle_beta 90.00
_cell_angle_gamma 90.00
_symmetry_space_group_name_H-M 'P 1'
_symmetry_Int_Tables_number 1
loop_
_symmetry_equiv_pos_as_xyz
'x,y,z'
loop_
_atom_site_label
_atom_site_type_symbol
_atom_site_fract_x
_atom_site_fract_y
_atom_site_fract_z
Cu1 Cu 0.000 0.000 0.761
Cu2 Cu 0.500 0.000 0.000
Cu3 Cu 0.000 0.239 0.239
Cu4 Cu 0.000 0.761 0.000
Zr1 Zr 0.500 0.589 0.589
Zr2 Zr 0.500 0.000 0.411
Zr3 Zr 0.500 0.411 0.000
Ge1 Ge 0.000 0.667 0.333
Ge2 Ge 0.000 0.333 0.667

Record 5
# Li2TiGeO5 (PBE-GGA, relaxed)
# total magnetic moment: 0.000 μB/f.u.
# DFT total energy: -62.08 eV per formula unit
# crystal system: tetragonal
# SG: No. 129
data_Li2TiGeO5
_cell_length_a 6.659
_cell_length_b 6.659
_cell_length_c 4.553
_cell_angle_alpha 90.00
_cell_angle_beta 90.00
_cell_angle_gamma 90.00
_symmetry_space_group_name_H-M 'P 1'
_symmetry_Int_Tables_number 1
loop_
_symmetry_equiv_pos_as_xyz
'x,y,z'
loop_
_atom_site_label
_atom_site_type_symbol
_atom_site_fract_x
_atom_site_fract_y
_atom_site_fract_z
O1 O 0.214 0.000 0.768
O2 O 0.714 0.500 0.232
O3 O 0.000 0.214 0.232
O4 O 0.500 0.286 0.768
O5 O 0.286 0.500 0.232
O6 O 0.786 0.000 0.768
O7 O 0.500 0.000 0.273
O8 O 0.000 0.500 0.727
O9 O 0.500 0.714 0.768
O10 O 0.000 0.786 0.232
Ge1 Ge 0.000 0.000 0.000
Ge2 Ge 0.500 0.500 0.000
Li1 Li 0.750 0.250 0.500
Li2 Li 0.250 0.750 0.500
Li3 Li 0.250 0.250 0.500
Li4 Li 0.750 0.750 0.500
Ti1 Ti 0.000 0.500 0.104
Ti2 Ti 0.500 0.000 0.896

Record 6
# Na6Mg6SiSn2S11O48 (PBE-GGA, relaxed)
# total magnetic moment: 0.001 μB/f.u.
# DFT total energy: -449.04 eV per formula unit
# crystal system: triclinic
# SG: No. 1
data_Na6Mg6SiSn2S11O48
_cell_length_a 17.421
_cell_length_b 8.720
_cell_length_c 22.682
_cell_angle_alpha 89.85
_cell_angle_beta 90.16
_cell_angle_gamma 119.80
_symmetry_space_group_name_H-M 'P 1'
_symmetry_Int_Tables_number 1
loop_
_symmetry_equiv_pos_as_xyz
'x,y,z'
loop_
_atom_site_label
_atom_site_type_symbol
_atom_site_fract_x
_atom_site_fract_y
_atom_site_fract_z
O1 O 0.650 0.464 0.757
O2 O 0.263 0.688 0.256
O3 O 0.922 0.306 0.531
O4 O 0.596 0.207 0.696
O5 O 0.902 0.981 0.413
O6 O 0.993 0.815 0.086
O7 O 0.758 0.887 0.365
O8 O 0.254 0.855 0.078
O9 O 0.652 0.855 0.970
O10 O 0.930 0.508 0.421
O11 O 0.109 0.034 0.302
O12 O 0.081 0.980 0.911
O13 O 0.757 0.862 0.078
O14 O 0.403 0.974 0.412
O15 O 0.275 0.690 0.974
O16 O 0.015 0.194 0.915
O17 O 0.060 0.646 0.361
O18 O 0.992 0.187 0.302
O19 O 0.415 0.534 0.744
O20 O 0.730 0.311 0.033
O21 O 0.391 0.978 0.684
O22 O 0.558 0.636 0.362
O23 O 0.735 0.353 0.140
O24 O 0.487 0.804 0.089
O25 O 0.096 0.020 0.590
O26 O 0.906 0.828 0.914
O27 O 0.842 0.530 0.531
O28 O 0.176 0.491 0.078
O29 O 0.771 0.854 0.472
O30 O 0.734 0.150 0.245
O31 O 0.275 0.855 0.472
O32 O 0.515 0.194 0.915
O33 O 0.679 0.471 0.360
O34 O 0.595 0.173 0.088
O35 O 0.321 0.120 0.137
O36 O 0.570 0.496 0.575
O37 O 0.839 0.503 0.245
O38 O 0.225 0.302 0.031
O39 O 0.063 0.475 0.863
O40 O 0.605 0.026 0.304
O41 O 0.739 0.324 0.744
O42 O 0.743 0.141 0.922
O43 O 0.844 0.149 0.030
O44 O 0.930 0.349 0.922
O45 O 0.742 0.117 0.635
O46 O 0.096 0.206 0.696
O47 O 0.917 0.791 0.307
O48 O 0.074 0.458 0.970
O49 O 0.440 0.520 0.137
O50 O 0.773 0.692 0.970
O51 O 0.412 0.014 0.089
O52 O 0.239 0.324 0.745
O53 O 0.987 0.786 0.804
O54 O 0.944 0.370 0.637
O55 O 0.013 0.831 0.414
O56 O 0.431 0.349 0.921
O57 O 0.581 0.978 0.912
O58 O 0.653 0.460 0.467
O59 O 0.243 0.142 0.921
O60 O 0.585 0.192 0.411
O61 O 0.093 0.968 0.196
O62 O 0.151 0.858 0.970
O63 O 0.591 0.973 0.198
O64 O 0.753 0.823 0.753
O65 O 0.150 0.464 0.757
O66 O 0.570 0.648 0.077
O67 O 0.913 0.041 0.804
O68 O 0.576 0.691 0.468
O69 O 0.649 0.829 0.256
O70 O 0.253 0.822 0.753
O71 O 0.764 0.647 0.863
O72 O 0.070 0.496 0.575
O73 O 0.825 0.508 0.923
O74 O 0.014 0.816 0.697
O75 O 0.728 0.152 0.529
O76 O 0.487 0.786 0.804
O77 O 0.182 0.485 0.365
O78 O 0.423 0.309 0.531
O79 O 0.179 0.863 0.576
O80 O 0.745 0.353 0.422
O81 O 0.891 0.978 0.684
O82 O 0.415 0.800 0.585
O83 O 0.991 0.176 0.587
O84 O 0.074 0.685 0.468
O85 O 0.343 0.180 0.747
O86 O 0.515 0.214 0.199
O87 O 0.921 0.309 0.243
O88 O 0.088 0.194 0.411
O89 O 0.597 0.021 0.589
O90 O 0.343 0.536 0.528
O91 O 0.320 0.515 0.635
O92 O 0.444 0.369 0.636
O93 O 0.510 0.826 0.410
O94 O 0.242 0.116 0.636
O95 O 0.344 0.143 0.030
O96 O 0.238 0.159 0.242
O97 O 0.887 0.818 0.190
O98 O 0.022 0.226 0.195
O99 O 0.249 0.357 0.422
O100 O 0.072 0.651 0.078
O101 O 0.919 0.031 0.084
O102 O 0.238 0.355 0.138
O103 O 0.156 0.454 0.471
O104 O 0.514 0.816 0.697
O105 O 0.093 0.168 0.090
O106 O 0.750 0.673 0.255
O107 O 0.154 0.839 0.256
O108 O 0.395 0.813 0.197
O109 O 0.676 0.494 0.078
O110 O 0.574 0.459 0.970
O111 O 0.580 0.473 0.257
O112 O 0.419 0.313 0.245
O113 O 0.819 0.517 0.638
O114 O 0.325 0.506 0.924
O115 O 0.674 0.877 0.863
O116 O 0.927 0.544 0.033
O117 O 0.430 0.510 0.422
O118 O 0.915 0.534 0.744
O119 O 0.679 0.864 0.576
O120 O 0.326 0.141 0.423
O121 O 0.413 0.039 0.804
O122 O 0.490 0.177 0.586
O123 O 0.423 0.542 0.032
O124 O 0.112 0.180 0.803
O125 O 0.842 0.180 0.747
O126 O 0.826 0.124 0.138
O127 O 0.227 0.149 0.530
O128 O 0.915 0.799 0.586
O129 O 0.822 0.141 0.425
O130 O 0.563 0.475 0.862
O131 O 0.174 0.878 0.863
O132 O 0.944 0.536 0.140
O133 O 0.262 0.648 0.866
O134 O 0.256 0.649 0.577
O135 O 0.612 0.181 0.803
O136 O 0.405 0.786 0.305
O137 O 0.260 0.875 0.366
O138 O 0.488 0.190 0.306
O139 O 0.406 0.828 0.915
O140 O 0.343 0.526 0.245
O141 O 0.079 0.480 0.256
O142 O 0.075 0.675 0.756
O143 O 0.755 0.649 0.578
O144 O 0.574 0.674 0.757
Mg1 Mg 0.667 0.666 0.017
Mg2 Mg 0.335 0.329 0.982
Mg3 Mg 0.672 0.677 0.815
Mg4 Mg 0.665 0.661 0.518
Mg5 Mg 0.163 0.671 0.015
Mg6 Mg 0.499 0.999 0.652
Mg7 Mg 0.834 0.335 0.182
Mg8 Mg 0.499 0.002 0.349
Mg9 Mg 0.170 0.668 0.317
Mg10 Mg 0.999 0.992 0.352
Mg11 Mg 0.502 0.004 0.148
Mg12 Mg 0.999 0.999 0.652
Mg13 Mg 0.836 0.340 0.480
Mg14 Mg 0.335 0.335 0.183
Mg15 Mg 0.330 0.323 0.481
Mg16 Mg 0.832 0.333 0.983
Mg17 Mg 0.162 0.659 0.515
Mg18 Mg 0.172 0.676 0.815
Sn1 Sn 0.996 0.004 0.850
Sn2 Sn 0.670 0.673 0.317
Sn3 Sn 0.993 0.994 0.150
Sn4 Sn 0.335 0.329 0.687
Sn5 Sn 0.835 0.329 0.686
Sn6 Sn 0.496 0.004 0.851
Si1 Si 0.848 0.992 0.745
Si2 Si 0.349 0.991 0.745
Si3 Si 0.852 0.701 0.252
S1 S 0.001 0.708 0.749
S2 S 0.483 0.338 0.581
S3 S 0.833 0.042 0.083
S4 S 0.813 0.663 0.917
S5 S 0.002 0.296 0.251
S6 S 0.520 0.667 0.417
S7 S 0.314 0.962 0.418
S8 S 0.497 0.291 0.251
S9 S 0.501 0.708 0.749
S10 S 0.334 0.624 0.581
S11 S 0.983 0.630 0.084
S12 S 0.644 0.997 0.251
S13 S 0.146 0.294 0.749
S14 S 0.021 0.377 0.917
S15 S 0.185 0.330 0.084
S16 S 0.314 0.663 0.919
S17 S 0.815 0.966 0.421
S18 S 0.184 0.037 0.581
S19 S 0.665 0.961 0.916
S20 S 0.983 0.337 0.581
S21 S 0.150 0.004 0.251
S22 S 0.665 0.368 0.417
S23 S 0.165 0.963 0.916
S24 S 0.647 0.295 0.749
S25 S 0.020 0.668 0.416
S26 S 0.166 0.370 0.417
S27 S 0.352 0.704 0.250
S28 S 0.834 0.623 0.582
S29 S 0.481 0.626 0.084
S30 S 0.685 0.040 0.580
S31 S 0.332 0.038 0.084
S32 S 0.522 0.377 0.916
S33 S 0.685 0.333 0.084
Na1 Na 0.328 0.319 0.329
Na2 Na 0.334 0.698 0.081
Na3 Na 0.835 0.966 0.593
Na4 Na 0.334 0.964 0.593
Na5 Na 0.168 0.671 0.166
Na6 Na 0.687 0.366 0.242
Na7 Na 0.169 0.670 0.677
Na8 Na 0.335 0.320 0.837
Na9 Na 0.670 0.671 0.677
Na10 Na 0.671 0.677 0.158
Na11 Na 0.834 0.320 0.838
Na12 Na 0.510 0.018 0.002
Na13 Na 0.512 0.018 0.500
Na14 Na 0.998 0.997 0.998
Na15 Na 0.994 0.636 0.255
Na16 Na 0.344 0.665 0.413
Na17 Na 0.008 0.998 0.496
Na18 Na 0.838 0.341 0.334

Record 7
# Cs2NaAlCl6 (PBE-GGA, relaxed)
# total magnetic moment: 0.000 μB/f.u.
# DFT total energy: -35.93 eV per formula unit
# crystal system: cubic
# SG: No. 225
data_Cs2NaAlCl6
_cell_length_a 7.393
_cell_length_b 7.393
_cell_length_c 7.393
_cell_angle_alpha 60.00
_cell_angle_beta 60.00
_cell_angle_gamma 60.00
_symmetry_space_group_name_H-M 'P 1'
_symmetry_Int_Tables_number 1
loop_
_symmetry_equiv_pos_as_xyz
'x,y,z'
loop_
_atom_site_label
_atom_site_type_symbol
_atom_site_fract_x
_atom_site_fract_y
_atom_site_fract_z
Cl1 Cl 0.226 0.774 0.226
Cl2 Cl 0.226 0.226 0.774
Cl3 Cl 0.774 0.774 0.226
Cl4 Cl 0.774 0.226 0.774
Cl5 Cl 0.774 0.226 0.226
Cl6 Cl 0.226 0.774 0.774
Cs1 Cs 0.750 0.750 0.750
Cs2 Cs 0.250 0.250 0.250
Al1 Al 0.000 0.000 0.000
Na1 Na 0.500 0.500 0.500

> DFT total energy of number 5 (Li2TiGeO5)?

-62.08 eV per formula unit

> Look up the DFT total energy of the first one.

-57.08 eV per formula unit

> Among the records above, which one has the lowest DFT total energy?

Na6Mg6SiSn2S11O48